1.
Here is a relaxed Rb3Zr crystal from the Materials Project. Energies are from PBE-GGA.

a b c (Å): 6.9531 6.9531 6.9531
angles (deg): 60.00 60.00 60.00
Last column: nearest neighbours and their distance in Å.
Sites, in units of the cell vectors:
Rb 0.2500 0.2500 0.2500  4 Rb 4.26, 4 Zr 4.26
Rb 0.7500 0.7500 0.7500  4 Zr 4.26, 4 Rb 4.26
Rb 0.5000 0.5000 0.5000  8 Rb 4.26
Zr 0.0000 0.0000 0.0000  8 Rb 4.26

2.
Here is a relaxed Re crystal from the Materials Project. Energies are from PBE-GGA.

a b c (Å): 2.7811 2.7811 4.4971
angles (deg): 90.00 90.00 120.00
Last column: nearest neighbours and their distance in Å.
Sites, in units of the cell vectors:
Re 0.3333 0.6667 0.2500  12 Re 2.76-2.78
Re 0.6667 0.3333 0.7500  12 Re 2.76-2.78

3.
Here is a relaxed Re crystal from the Materials Project. Energies are from PBE-GGA.

a b c (Å): 2.7037 2.7037 2.7037
angles (deg): 109.47 109.47 109.47
Last column: nearest neighbours and their distance in Å.
Sites, in units of the cell vectors:
Re 0.0000 0.0000 0.0000  8 Re 2.70

4.
Here is a relaxed Re crystal from the Materials Project. Energies are from PBE-GGA.

a b c (Å): 2.7754 2.7754 2.7754
angles (deg): 60.00 60.00 60.00
Last column: nearest neighbours and their distance in Å.
Sites, in units of the cell vectors:
Re 0.0000 0.0000 0.0000  12 Re 2.78

5.
Here is a relaxed Re crystal from the Materials Project. Energies are from PBE-GGA.

a b c (Å): 2.7849 2.7849 8.9654
angles (deg): 90.00 90.00 120.00
Last column: nearest neighbours and their distance in Å.
Sites, in units of the cell vectors:
Re 0.0000 0.0000 0.0000  12 Re 2.76-2.78
Re 0.3333 0.6667 0.2500  12 Re 2.76-2.78
Re 0.0000 0.0000 0.5000  12 Re 2.76-2.78
Re 0.6667 0.3333 0.7500  12 Re 2.76-2.78

6.
Here is a relaxed Re crystal from the Materials Project. Energies are from PBE-GGA.

a b c (Å): 6.9242 6.9242 6.9242
angles (deg): 23.20 23.20 23.20
Last column: nearest neighbours and their distance in Å.
Sites, in units of the cell vectors:
Re 0.0000 0.0000 0.0000  12 Re 2.76-2.78
Re 0.2223 0.2223 0.2223  12 Re 2.76-2.78
Re 0.7777 0.7777 0.7777  12 Re 2.76-2.78

Number 1: DFT formation energy 1022 meV/atom. Number 2: DFT formation energy 0 meV/atom. Number 3: DFT formation energy 318 meV/atom. Number 4: DFT formation energy 63 meV/atom. Number 5: DFT formation energy 1 meV/atom. Number 6: DFT formation energy 19 meV/atom.